Record 1
# Na3LaTiSi2SO12, optimized geometry, DFT GGA-PBE
data_Na3LaTiSi2SO12
_space_group_name_H-M_alt 'P 1'
_space_group_IT_number 1
_space_group_name_Hall 'P 1'
_cell_length_a 9.5457
_cell_length_b 9.5457
_cell_length_c 22.4641
_cell_angle_alpha 87.14
_cell_angle_beta 92.86
_cell_angle_gamma 119.44
loop_
_atom_site_label
_atom_site_type_symbol
_atom_site_fract_x
_atom_site_fract_y
_atom_site_fract_z
Na1 Na 0.6364 0.9955 0.2421
Na2 Na 0.9957 0.6335 0.2496
Na3 Na 0.0045 0.3636 0.7421
Na4 Na 0.3665 0.0043 0.7496
Na5 Na 0.3030 0.3288 0.5754
Na6 Na 0.6623 0.9668 0.5829
Na7 Na 0.6712 0.6970 0.0754
Na8 Na 0.0332 0.3377 0.0829
Na9 Na 0.9697 0.6622 0.9088
Na10 Na 0.3290 0.3002 0.9162
Na11 Na 0.3378 0.0303 0.4088
Na12 Na 0.6998 0.6710 0.4162
Na13 Na 0.9906 0.0233 0.5011
Na14 Na 0.9767 0.0094 0.0011
Na15 Na 0.6573 0.3566 0.8344
Na16 Na 0.6434 0.3427 0.3344
Na17 Na 0.3239 0.6900 0.1677
Na18 Na 0.3100 0.6761 0.6677
La1 La 0.0114 0.0194 0.3480
La2 La 0.9806 0.9886 0.8480
La3 La 0.6781 0.3527 0.6813
La4 La 0.6473 0.3219 0.1813
La5 La 0.3448 0.6861 0.0146
La6 La 0.3139 0.6552 0.5146
Ti1 Ti 0.0485 0.0193 0.6462
Ti2 Ti 0.9807 0.9515 0.1462
Ti3 Ti 0.7152 0.3526 0.9796
Ti4 Ti 0.6474 0.2848 0.4796
Ti5 Ti 0.3819 0.6859 0.3129
Ti6 Ti 0.3141 0.6181 0.8129
Si1 Si 0.2872 0.9722 0.2544
Si2 Si 0.6997 0.7014 0.2527
Si3 Si 0.2986 0.3003 0.7527
Si4 Si 0.0278 0.7128 0.7544
Si5 Si 0.9538 0.3055 0.5877
Si6 Si 0.3664 0.0347 0.5860
Si7 Si 0.9653 0.6336 0.0860
Si8 Si 0.6945 0.0462 0.0877
Si9 Si 0.6205 0.6388 0.9211
Si10 Si 0.0331 0.3681 0.9193
Si11 Si 0.6319 0.9669 0.4193
Si12 Si 0.3612 0.3795 0.4211
S1 S 0.0239 0.3281 0.2442
S2 S 0.6719 0.9761 0.7442
S3 S 0.6906 0.6614 0.5775
S4 S 0.3386 0.3094 0.0775
S5 S 0.3573 0.9948 0.9109
S6 S 0.0052 0.6427 0.4109
O1 O 0.2213 0.9935 0.3158
O2 O 0.7952 0.7889 0.3120
O3 O 0.0055 0.2340 0.3004
O4 O 0.2111 0.2048 0.8120
O5 O 0.0065 0.7787 0.8158
O6 O 0.7660 0.9945 0.8004
O7 O 0.7593 0.9742 0.6926
O8 O 0.1776 0.1975 0.6927
O9 O 0.0443 0.8530 0.6990
O10 O 0.8025 0.8224 0.1927
O11 O 0.0258 0.2407 0.1926
O12 O 0.1470 0.9557 0.1990
O13 O 0.8880 0.3268 0.6492
O14 O 0.4619 0.1222 0.6453
O15 O 0.6722 0.5673 0.6337
O16 O 0.8778 0.5381 0.1453
O17 O 0.6732 0.1120 0.1492
O18 O 0.4327 0.3278 0.1337
O19 O 0.4260 0.3075 0.0259
O20 O 0.8443 0.5308 0.0260
O21 O 0.7109 0.1863 0.0323
O22 O 0.4692 0.1557 0.5260
O23 O 0.6925 0.5740 0.5259
O24 O 0.8137 0.2891 0.5323
O25 O 0.5546 0.6601 0.9825
O26 O 0.1285 0.4555 0.9786
O27 O 0.3388 0.9006 0.9670
O28 O 0.5445 0.8715 0.4786
O29 O 0.3399 0.4454 0.4825
O30 O 0.0994 0.6612 0.4670
O31 O 0.0927 0.6409 0.3592
O32 O 0.5109 0.8641 0.3593
O33 O 0.3776 0.5196 0.3656
O34 O 0.1359 0.4891 0.8593
O35 O 0.3591 0.9073 0.8592
O36 O 0.4804 0.6224 0.8656
O37 O 0.9805 0.7865 0.4099
O38 O 0.8100 0.9900 0.4165
O39 O 0.2185 0.1950 0.4128
O40 O 0.0100 0.1900 0.9165
O41 O 0.2135 0.0195 0.9099
O42 O 0.8050 0.7815 0.9128
O43 O 0.9596 0.1306 0.5919
O44 O 0.1907 0.0398 0.5872
O45 O 0.8399 0.8203 0.5812
O46 O 0.9602 0.8093 0.0872
O47 O 0.8694 0.0404 0.0919
O48 O 0.1797 0.1601 0.0812
O49 O 0.6472 0.1198 0.7432
O50 O 0.4766 0.3233 0.7498
O51 O 0.8852 0.5284 0.7461
O52 O 0.6767 0.5234 0.2498
O53 O 0.8802 0.3528 0.2432
O54 O 0.4716 0.1148 0.2461
O55 O 0.6262 0.4639 0.9252
O56 O 0.8573 0.3731 0.9205
O57 O 0.5066 0.1536 0.9145
O58 O 0.6269 0.1427 0.4205
O59 O 0.5361 0.3738 0.4252
O60 O 0.8464 0.4934 0.4145
O61 O 0.3139 0.4532 0.0766
O62 O 0.1433 0.6567 0.0831
O63 O 0.5518 0.8617 0.0795
O64 O 0.3433 0.8567 0.5831
O65 O 0.5468 0.6861 0.5766
O66 O 0.1383 0.4482 0.5795
O67 O 0.2929 0.7973 0.2586
O68 O 0.5240 0.7065 0.2539
O69 O 0.1732 0.4869 0.2478
O70 O 0.2935 0.4760 0.7539
O71 O 0.2027 0.7071 0.7586
O72 O 0.5131 0.8268 0.7478
# **VASP energy**: -6.977 eV per atom
# **Size of the total moment**: 0.0 μB per formula unit
# **ΔE_f**: -2.831 eV/atom


Record 2
# Na8La2Ti2Si5SO24, optimized geometry, DFT GGA-PBE
data_Na8La2Ti2Si5SO24
_space_group_name_H-M_alt 'P 1'
_space_group_IT_number 1
_space_group_name_Hall 'P 1'
_cell_length_a 9.3977
_cell_length_b 9.4168
_cell_length_c 22.7150
_cell_angle_alpha 89.35
_cell_angle_beta 89.70
_cell_angle_gamma 60.09
loop_
_atom_site_label
_atom_site_type_symbol
_atom_site_fract_x
_atom_site_fract_y
_atom_site_fract_z
Na1 Na 0.0000 0.0000 0.0000
Na2 Na 0.9999 0.6195 0.2532
Na3 Na 0.0263 0.6361 0.7467
Na4 Na 0.0457 0.3221 0.1694
Na5 Na 0.0559 0.9260 0.6679
Na6 Na 0.3014 0.3066 0.6685
Na7 Na 0.3230 0.6544 0.1598
Na8 Na 0.3383 0.3318 0.3399
Na9 Na 0.3403 0.6007 0.8338
Na10 Na 0.3456 0.9652 0.5841
Na11 Na 0.3621 0.9654 0.0795
Na12 Na 0.3690 0.2809 0.0024
Na13 Na 0.3820 0.6380 0.5074
Na14 Na 0.6483 0.6518 0.0021
Na15 Na 0.6540 0.0098 0.5064
Na16 Na 0.6759 0.9260 0.1597
Na17 Na 0.6776 0.6792 0.6624
Na18 Na 0.6831 0.2939 0.9173
Na19 Na 0.6887 0.2920 0.4277
Na20 Na 0.7158 0.9849 0.8426
Na21 Na 0.7320 0.6023 0.3370
Na22 Na 0.9638 0.9762 0.3512
Na23 Na 0.9862 0.3306 0.8368
Na24 Na 0.9947 0.2793 0.5064
La1 La 0.0065 0.6361 0.4196
La2 La 0.0113 0.6347 0.0888
La3 La 0.0148 0.6388 0.9114
La4 La 0.3385 0.9764 0.7310
La5 La 0.3552 0.9768 0.2332
La6 La 0.6800 0.3010 0.2734
Ti1 Ti 0.0108 0.6392 0.6001
Ti2 Ti 0.3227 0.9967 0.9363
Ti3 Ti 0.3433 0.9961 0.4462
Ti4 Ti 0.6612 0.3246 0.0654
Ti5 Ti 0.6774 0.3064 0.5698
Ti6 Ti 0.6821 0.2872 0.7641
Si1 Si 0.0027 0.3174 0.0025
Si2 Si 0.0120 0.9473 0.5052
Si3 Si 0.0366 0.9824 0.8341
Si4 Si 0.0522 0.2654 0.3408
Si5 Si 0.3199 0.3383 0.5053
Si6 Si 0.3327 0.6503 0.0012
Si7 Si 0.3532 0.2714 0.8333
Si8 Si 0.3798 0.3110 0.1662
Si9 Si 0.3890 0.5767 0.6667
Si10 Si 0.6419 0.9689 0.3432
Si11 Si 0.6793 0.5986 0.1661
Si12 Si 0.6797 0.9699 0.0019
Si13 Si 0.6964 0.0067 0.6642
Si14 Si 0.7011 0.6390 0.5059
Si15 Si 0.9517 0.3220 0.6663
S1 S 0.3422 0.6807 0.3413
S2 S 0.6431 0.6637 0.8366
S3 S 0.9733 0.0054 0.1644
O1 O 0.0020 0.8296 0.8426
O2 O 0.0385 0.4456 0.3415
O3 O 0.0389 0.8005 0.5556
O4 O 0.0637 0.3828 0.0573
O5 O 0.1339 0.1578 0.6637
O6 O 0.1338 0.1868 0.2771
O7 O 0.1370 0.9932 0.1608
O8 O 0.1424 0.9406 0.7737
O9 O 0.1508 0.9958 0.8885
O10 O 0.1675 0.1353 0.9897
O11 O 0.1761 0.1457 0.3967
O12 O 0.1756 0.4496 0.5555
O13 O 0.1851 0.9539 0.5011
O14 O 0.1936 0.4555 0.8397
O15 O 0.1965 0.6588 0.3428
O16 O 0.1981 0.4756 0.1634
O17 O 0.2049 0.5936 0.6622
O18 O 0.2110 0.7028 0.0579
O19 O 0.2623 0.5898 0.9478
O20 O 0.2702 0.4354 0.4431
O21 O 0.3254 0.1986 0.7728
O22 O 0.3255 0.1567 0.5013
O23 O 0.3338 0.7603 0.2836
O24 O 0.3441 0.7800 0.3913
O25 O 0.3578 0.1499 0.8893
O26 O 0.3589 0.8059 0.9849
O27 O 0.3696 0.1434 0.1566
O28 O 0.3765 0.7564 0.6651
O29 O 0.4559 0.3159 0.2301
O30 O 0.4875 0.4620 0.7271
O31 O 0.4966 0.5177 0.3446
O32 O 0.4987 0.9883 0.9887
O33 O 0.5001 0.3169 0.1131
O34 O 0.5010 0.4760 0.6107
O35 O 0.5038 0.7696 0.1573
O36 O 0.5062 0.3015 0.5171
O37 O 0.5181 0.9683 0.3979
O38 O 0.5191 0.4906 0.0131
O39 O 0.5233 0.8118 0.5032
O40 O 0.5285 0.2754 0.8313
O41 O 0.5347 0.9853 0.6633
O42 O 0.5411 0.7585 0.8875
O43 O 0.5736 0.7552 0.7805
O44 O 0.5735 0.9488 0.2797
O45 O 0.6386 0.1437 0.3498
O46 O 0.6483 0.5029 0.8358
O47 O 0.6559 0.1531 0.0135
O48 O 0.6712 0.4837 0.5184
O49 O 0.6811 0.1259 0.6099
O50 O 0.6901 0.4708 0.1135
O51 O 0.6942 0.5129 0.2306
O52 O 0.7104 0.1028 0.7255
O53 O 0.7519 0.8452 0.0585
O54 O 0.8012 0.5857 0.4442
O55 O 0.8085 0.8936 0.9472
O56 O 0.8120 0.6387 0.8397
O57 O 0.8212 0.6653 0.5558
O58 O 0.8280 0.8122 0.3451
O59 O 0.8367 0.6282 0.1625
O60 O 0.8409 0.3311 0.7265
O61 O 0.8500 0.3096 0.6107
O62 O 0.8531 0.2807 0.0157
O63 O 0.8564 0.1318 0.5171
O64 O 0.8597 0.1590 0.8306
O65 O 0.8666 0.8263 0.6611
O66 O 0.8717 0.1085 0.1151
O67 O 0.8763 0.2711 0.3500
O68 O 0.8953 0.0739 0.2223
O69 O 0.9483 0.4420 0.9465
O70 O 0.9637 0.8942 0.4443
O71 O 0.9662 0.4903 0.6622
O72 O 0.9919 0.8393 0.1630
# **VASP energy**: -6.954 eV per atom
# **Size of the total moment**: 0.0 μB per formula unit
# **ΔE_f**: -2.912 eV/atom


Which of these has the highest ΔE_f?
Na3LaTiSi2SO12


Which of these has the highest ΔE_f?
Na3LaTiSi2SO12


Look up the size of the total moment of the first one.
0.0 μB per formula unit


Among the records above, which one has the highest ΔE_f?
Na3LaTiSi2SO12